Record 1
AlGaCo2 | PBE | relaxed

Structure (POSCAR):
```
AlGaCo2
1.0
2.8769 0.0000 0.0000
0.0000 2.8769 0.0000
0.0000 0.0000 5.7151
Al Ga Co
1 1 2
Direct
0.0000 0.0000 0.0000
0.0000 0.0000 0.5000
0.5000 0.5000 0.2491
0.5000 0.5000 0.7509
```

The value obtained for the formation enthalpy at 0 K is -1.8 eV/f.u.



Record 2
Sr5Ir3O11 | PBE | relaxed

Structure (POSCAR):
```
Sr5Ir3O11
1.0
2.7675 -2.8581 0.0000
2.7675 2.8581 0.0000
-0.0905 0.0000 16.7556
Sr Ir O
5 3 11
Direct
0.0000 0.0000 0.0000
0.4705 0.4705 0.6195
0.4839 0.4839 0.3895
0.5026 0.5026 0.1596
0.9929 0.9929 0.7789
0.4880 0.4880 0.8894
0.9808 0.9808 0.5122
0.9888 0.9888 0.2667
0.0476 0.4947 0.2690
0.4748 0.9212 0.5098
0.4837 0.4837 0.7653
0.4885 0.4885 0.0136
0.4947 0.0476 0.2690
0.5332 0.9923 0.8894
0.9212 0.4748 0.5098
0.9828 0.9828 0.6331
0.9847 0.9847 0.3895
0.9881 0.9881 0.1458
0.9923 0.5332 0.8894
```

The value obtained for the formation enthalpy at 0 K is -42.2 eV/f.u.



Record 3
MoS2 | PBE | relaxed

Structure (POSCAR):
```
MoS2
1.0
3.1903 0.0000 0.0000
-1.5952 2.7629 0.0000
0.0000 0.0000 39.7580
Mo S
4 8
Direct
0.3333 0.6667 0.0936
0.3333 0.6667 0.7193
0.6667 0.3333 0.2807
0.6667 0.3333 0.9064
0.3333 0.6667 0.2413
0.3333 0.6667 0.3200
0.3333 0.6667 0.8671
0.3333 0.6667 0.9458
0.6667 0.3333 0.0542
0.6667 0.3333 0.1329
0.6667 0.3333 0.6800
0.6667 0.3333 0.7587
```

The value obtained for the formation enthalpy at 0 K is -3.6 eV/f.u.



Record 4
Na3SrB5O10 | PBE | relaxed

Structure (POSCAR):
```
Na3SrB5O10
1.0
7.3458 0.0000 0.0000
3.6095 6.7963 0.0000
3.2047 -0.0679 9.2912
Na Sr B O
6 2 10 20
Direct
0.1564 0.4987 0.3349
0.2077 0.2809 0.9522
0.2790 0.0138 0.6150
0.7210 0.9862 0.3850
0.7923 0.7191 0.0478
0.8436 0.5013 0.6651
0.2160 0.9476 0.2764
0.7840 0.0524 0.7236
0.1373 0.6778 0.5828
0.1617 0.7500 0.0477
0.2981 0.6269 0.7901
0.3819 0.3396 0.6377
0.4879 0.7733 0.8779
0.5121 0.2267 0.1221
0.6181 0.6604 0.3623
0.7019 0.3731 0.2099
0.8383 0.2500 0.9523
0.8627 0.3222 0.4172
0.0156 0.7955 0.4997
0.0274 0.7772 0.1816
0.1556 0.6530 0.9405
0.1654 0.7507 0.6926
0.2316 0.4713 0.5650
0.3204 0.8203 0.0114
0.3420 0.1931 0.1444
0.4004 0.4151 0.7516
0.4669 0.6867 0.7724
0.5004 0.1497 0.6038
0.4996 0.8503 0.3962
0.5331 0.3133 0.2276
0.5996 0.5849 0.2484
0.6580 0.8069 0.8556
0.6796 0.1797 0.9886
0.7684 0.5287 0.4350
0.8346 0.2493 0.3074
0.8444 0.3470 0.0595
0.9726 0.2228 0.8184
0.9844 0.2045 0.5003
```

The value obtained for the formation enthalpy at 0 K is -53.4 eV/f.u.



Record 5
Ag3Ge | PBE | relaxed

Structure (POSCAR):
```
Ag3Ge
1.0
4.1628 0.0000 0.0000
0.0000 4.1628 0.0000
0.0000 0.0000 4.1628
Ag Ge
3 1
Direct
0.0000 0.0000 0.5000
0.0000 0.5000 0.0000
0.5000 0.0000 0.0000
0.5000 0.5000 0.5000
```

The value obtained for the formation enthalpy at 0 K is 0.4 eV/f.u.



Record 6
Rb2MgTi2Zn2O2F10 | PBE | relaxed

Structure (POSCAR):
```
Rb2MgTi2Zn2O2F10
1.0
7.3911 0.0000 0.0000
0.0013 7.6143 0.0000
3.6945 3.7733 5.5384
Rb Mg Ti Zn O F
2 1 2 2 2 10
Direct
0.0000 0.0000 0.0000
0.1594 0.7795 0.4530
0.8159 0.2104 0.6026
0.0404 0.4739 0.0533
0.5264 0.4623 0.0726
0.5302 0.4798 0.5637
0.5342 0.9583 0.5661
0.2489 0.4210 0.1528
0.8281 0.5006 0.9966
0.2123 0.4087 0.8033
0.2147 0.7865 0.8046
0.4604 0.5309 0.3166
0.4618 0.1524 0.3192
0.5062 0.1543 0.6953
0.6020 0.7908 0.4201
0.6224 0.7768 0.8086
0.6261 0.4067 0.8058
0.8668 0.1474 0.3525
0.8695 0.5128 0.3447
```

The value obtained for the energy above the most stable polymorph in this dataset is 0.024 eV/atom. The value obtained for the formation enthalpy at 0 K is -56.2 eV/f.u.



> Among the records above, which one has the highest formation enthalpy at 0 K?

Ag3Ge